No. 1
Below is K2SbF5 after structural relaxation, with properties calculated at the meta-GGA r2SCAN level.

Results
- uncorrected energy (eV/atom) = -9.499
- SG = P2_1/c, No. 14

Cell: 6.4783 7.4883 12.5476 Å, 64.32 90.00 90.00°
Positions (direct):
1 K 0.7457 0.1501 0.4560
2 K 0.2457 0.8499 0.0440
3 K 0.2543 0.8499 0.5440
4 K 0.7543 0.1501 0.9560
5 K 0.2640 0.4964 0.3801
6 K 0.7640 0.5036 0.1199
7 K 0.7360 0.5036 0.6199
8 K 0.2360 0.4964 0.8801
9 Sb 0.2285 0.1762 0.7041
10 Sb 0.7285 0.8238 0.7959
11 Sb 0.7715 0.8238 0.2959
12 Sb 0.2715 0.1762 0.2041
13 F 0.2998 0.4577 0.6103
14 F 0.7998 0.5423 0.8897
15 F 0.7002 0.5423 0.3897
16 F 0.2002 0.4577 0.1103
17 F 0.4223 0.1671 0.5701
18 F 0.9223 0.8329 0.9299
19 F 0.5777 0.8329 0.4299
20 F 0.0777 0.1671 0.0701
21 F 0.0071 0.2557 0.5737
22 F 0.5071 0.7443 0.9263
23 F 0.9929 0.7443 0.4263
24 F 0.4929 0.2557 0.0737
25 F 0.4537 0.2250 0.8098
26 F 0.9537 0.7750 0.6902
27 F 0.5463 0.7750 0.1902
28 F 0.0463 0.2250 0.3098
29 F 0.0253 0.2980 0.7803
30 F 0.5253 0.7020 0.7197
31 F 0.9747 0.7020 0.2197
32 F 0.4747 0.2980 0.2803

***

No. 2
Below is Ti6O11 after structural relaxation, with properties calculated at the meta-GGA r2SCAN level.

Results
- uncorrected energy (eV/atom) = -11.695
- SG = C2/m, No. 12
- energy above the lowest structure with this stoichiometry (meV/atom) = 14

Cell: 3.7560 5.2697 20.9456 Å, 92.44 90.00 110.88°
Positions (direct):
1 Ti 0.9687 0.9374 0.3539
2 Ti 0.1401 0.2801 0.4745
3 Ti 0.8599 0.7199 0.5255
4 Ti 0.2198 0.4397 0.1090
5 Ti 0.0944 0.1888 0.7958
6 Ti 0.0532 0.1065 0.9397
7 Ti 0.9468 0.8935 0.0603
8 Ti 0.0313 0.0626 0.6461
9 Ti 0.7802 0.5603 0.8910
10 Ti 0.9056 0.8112 0.2042
11 Ti 0.2405 0.4809 0.2970
12 Ti 0.7595 0.5191 0.7030
13 O 0.6653 0.3307 0.7927
14 O 0.2322 0.4644 0.8786
15 O 0.4235 0.8469 0.3461
16 O 0.4073 0.8146 0.0700
17 O 0.5927 0.1854 0.9300
18 O 0.8411 0.6823 0.6203
19 O 0.3347 0.6693 0.2073
20 O 0.8672 0.7345 0.9718
21 O 0.1589 0.3177 0.3797
22 O 0.1328 0.2655 0.0282
23 O 0.7905 0.5811 0.2910
24 O 0.3229 0.6459 0.5197
25 O 0.2095 0.4189 0.7090
26 O 0.9503 0.9007 0.4440
27 O 0.7678 0.5356 0.1214
28 O 0.9443 0.8886 0.7311
29 O 0.0557 0.1114 0.2689
30 O 0.6771 0.3541 0.4803
31 O 0.0497 0.0993 0.5560
32 O 0.9526 0.9053 0.8524
33 O 0.5765 0.1531 0.6539
34 O 0.0474 0.0947 0.1476

***

No. 3
Below is Sc2TcPt after structural relaxation, with properties calculated at the meta-GGA r2SCAN level.

Results
- uncorrected energy (eV/atom) = -25.848
- SG = Fm-3m, No. 225

Cell: 4.5829 4.5829 4.5829 Å, 60.00 60.00 60.00°
Positions (direct):
1 Sc 0.5000 0.5000 0.5000
2 Sc 0.0000 0.0000 0.0000
3 Tc 0.7500 0.7500 0.7500
4 Pt 0.2500 0.2500 0.2500

***

No. 4
Below is SrTm2O4 after structural relaxation, with properties calculated at the meta-GGA r2SCAN level.

Results
- uncorrected energy (eV/atom) = -19.356
- SG = Pnma, No. 62

Cell: 3.3461 9.9715 11.7472 Å, 90.00 90.00 90.00°
Positions (direct):
1 Sr 0.7500 0.2535 0.8496
2 Sr 0.2500 0.7465 0.1504
3 Sr 0.7500 0.7535 0.6504
4 Sr 0.2500 0.2465 0.3496
5 Tm 0.2500 0.5782 0.8906
6 Tm 0.7500 0.4218 0.1094
7 Tm 0.2500 0.0782 0.6094
8 Tm 0.7500 0.9218 0.3906
9 Tm 0.7500 0.9256 0.8880
10 Tm 0.2500 0.0744 0.1120
11 Tm 0.7500 0.4256 0.6120
12 Tm 0.2500 0.5744 0.3880
13 O 0.2500 0.5748 0.5762
14 O 0.7500 0.4252 0.4238
15 O 0.2500 0.0748 0.9238
16 O 0.7500 0.9252 0.0762
17 O 0.2500 0.4824 0.2166
18 O 0.7500 0.5176 0.7834
19 O 0.2500 0.9824 0.2834
20 O 0.7500 0.0176 0.7166
21 O 0.2500 0.8774 0.5201
22 O 0.7500 0.1226 0.4799
23 O 0.2500 0.3774 0.9799
24 O 0.7500 0.6226 0.0201
25 O 0.7500 0.7099 0.3297
26 O 0.2500 0.2901 0.6703
27 O 0.7500 0.2099 0.1703
28 O 0.2500 0.7901 0.8297

***

no.,energy relative to the elements (meV per atom)
1,-2827
2,-3264
3,-786
4,-3745